Record 1
{"formula": "U3Si4Ni4", "functional": "PBE-GGA", "state": "optimized geometry", "lattice": [[-1.923, 1.969, 11.755], [1.923, -1.969, 11.755], [1.923, 1.969, -11.755]], "species": ["U", "U", "U", "Si", "Si", "Si", "Si", "Ni", "Ni", "Ni", "Ni"], "fractional_positions": [[0.000, 0.000, 0.000], [0.354, 0.854, 0.500], [0.646, 0.146, 0.500], [0.197, 0.697, 0.500], [0.450, 0.450, 0.000], [0.550, 0.550, 0.000], [0.803, 0.303, 0.500], [0.099, 0.599, 0.500], [0.250, 0.250, 0.000], [0.750, 0.750, 0.000], [0.901, 0.401, 0.500]], "magmom_total_mub_per_cell": 5.43, "formation_energy_ev_per_atom": -0.5043, "space_group": "Immm"}

---

Record 2
{"formula": "CeSe2", "functional": "PBE-GGA", "state": "optimized geometry", "lattice": [[6.077, -10.482, 0.000], [6.077, 10.482, 0.000], [-6.023, 0.000, 10.495]], "species": ["Ce", "Ce", "Ce", "Ce", "Ce", "Ce", "Ce", "Ce", "Se", "Se", "Se", "Se", "Se", "Se", "Se", "Se", "Se", "Se", "Se", "Se", "Se", "Se", "Se", "Se"], "fractional_positions": [[0.152, 0.836, 0.961], [0.164, 0.848, 0.539], [0.249, 0.467, 0.927], [0.467, 0.249, 0.427], [0.533, 0.751, 0.573], [0.751, 0.533, 0.073], [0.836, 0.152, 0.461], [0.848, 0.164, 0.039], [0.088, 0.295, 0.671], [0.106, 0.357, 0.057], [0.117, 0.883, 0.750], [0.277, 0.701, 0.528], [0.295, 0.088, 0.171], [0.299, 0.723, 0.972], [0.357, 0.106, 0.557], [0.500, 0.500, 0.000], [0.500, 0.500, 0.500], [0.643, 0.894, 0.443], [0.701, 0.277, 0.028], [0.705, 0.912, 0.829], [0.723, 0.299, 0.472], [0.883, 0.117, 0.250], [0.894, 0.643, 0.943], [0.912, 0.705, 0.329]], "magmom_total_mub_per_cell": 0.00, "formation_energy_ev_per_atom": -1.4039, "space_group": "C2/c", "corrected_energy_ev_per_atom": -5.712}

---

Record 3
{"formula": "Sb3H36C12I8", "functional": "PBE-GGA", "state": "optimized geometry", "lattice": [[-7.781, 7.781, 7.781], [7.781, -7.781, 7.781], [7.781, 7.781, -7.781]], "species": ["Sb", "Sb", "Sb", "Sb", "Sb", "Sb", "H", "H", "H", "H", "H", "H", "H", "H", "H", "H", "H", "H", "H", "H", "H", "H", "H", "H", "H", "H", "H", "H", "H", "H", "H", "H", "H", "H", "H", "H", "H", "H", "H", "H", "H", "H", "H", "H", "H", "H", "H", "H", "H", "H", "H", "H", "H", "H", "H", "H", "H", "H", "H", "H", "H", "H", "H", "H", "H", "H", "H", "H", "H", "H", "H", "H", "H", "H", "H", "H", "H", "H", "C", "C", "C", "C", "C", "C", "C", "C", "C", "C", "C", "C", "C", "C", "C", "C", "C", "C", "C", "C", "C", "C", "C", "C", "I", "I", "I", "I", "I", "I", "I", "I", "I", "I", "I", "I", "I", "I", "I", "I"], "fractional_positions": [[0.125, 0.750, 0.875], [0.250, 0.625, 0.375], [0.375, 0.250, 0.625], [0.625, 0.375, 0.250], [0.750, 0.875, 0.125], [0.875, 0.125, 0.750], [0.040, 0.428, 0.296], [0.059, 0.424, 0.168], [0.072, 0.112, 0.868], [0.076, 0.135, 0.744], [0.109, 0.941, 0.865], [0.112, 0.868, 0.072], [0.116, 0.736, 0.377], [0.120, 0.261, 0.884], [0.123, 0.859, 0.739], [0.132, 0.704, 0.245], [0.135, 0.744, 0.076], [0.141, 0.380, 0.264], [0.168, 0.059, 0.424], [0.204, 0.632, 0.745], [0.236, 0.616, 0.877], [0.239, 0.359, 0.623], [0.244, 0.635, 0.576], [0.245, 0.132, 0.704], [0.255, 0.960, 0.888], [0.256, 0.832, 0.391], [0.261, 0.884, 0.120], [0.264, 0.141, 0.380], [0.296, 0.040, 0.428], [0.332, 0.756, 0.891], [0.359, 0.623, 0.239], [0.365, 0.441, 0.609], [0.368, 0.612, 0.572], [0.377, 0.116, 0.736], [0.380, 0.264, 0.141], [0.384, 0.761, 0.620], [0.388, 0.460, 0.755], [0.391, 0.256, 0.832], [0.424, 0.168, 0.059], [0.428, 0.296, 0.040], [0.441, 0.609, 0.365], [0.460, 0.755, 0.388], [0.540, 0.796, 0.928], [0.559, 0.668, 0.924], [0.572, 0.368, 0.612], [0.576, 0.244, 0.635], [0.609, 0.365, 0.441], [0.612, 0.572, 0.368], [0.616, 0.877, 0.236], [0.620, 0.384, 0.761], [0.623, 0.239, 0.359], [0.632, 0.745, 0.204], [0.635, 0.576, 0.244], [0.641, 0.764, 0.880], [0.668, 0.924, 0.559], [0.704, 0.245, 0.132], [0.736, 0.377, 0.116], [0.739, 0.123, 0.859], [0.744, 0.076, 0.135], [0.745, 0.204, 0.632], [0.755, 0.388, 0.460], [0.756, 0.891, 0.332], [0.761, 0.620, 0.384], [0.764, 0.880, 0.641], [0.796, 0.928, 0.540], [0.832, 0.391, 0.256], [0.859, 0.739, 0.123], [0.865, 0.109, 0.941], [0.868, 0.072, 0.112], [0.877, 0.236, 0.616], [0.880, 0.641, 0.764], [0.884, 0.120, 0.261], [0.888, 0.255, 0.960], [0.891, 0.332, 0.756], [0.924, 0.559, 0.668], [0.928, 0.540, 0.796], [0.941, 0.865, 0.109], [0.960, 0.888, 0.255], [0.059, 0.163, 0.821], [0.104, 0.441, 0.261], [0.157, 0.896, 0.837], [0.163, 0.821, 0.059], [0.179, 0.739, 0.343], [0.239, 0.679, 0.843], [0.261, 0.104, 0.441], [0.321, 0.663, 0.559], [0.337, 0.396, 0.657], [0.343, 0.179, 0.739], [0.396, 0.657, 0.337], [0.441, 0.261, 0.104], [0.559, 0.321, 0.663], [0.604, 0.761, 0.941], [0.657, 0.337, 0.396], [0.663, 0.559, 0.321], [0.679, 0.843, 0.239], [0.739, 0.343, 0.179], [0.761, 0.941, 0.604], [0.821, 0.059, 0.163], [0.837, 0.157, 0.896], [0.843, 0.239, 0.679], [0.896, 0.837, 0.157], [0.941, 0.604, 0.761], [0.000, 0.118, 0.500], [0.000, 0.368, 0.500], [0.000, 0.618, 0.500], [0.000, 0.868, 0.500], [0.118, 0.500, 0.000], [0.132, 0.132, 0.132], [0.368, 0.500, 0.000], [0.382, 0.382, 0.382], [0.500, 0.000, 0.118], [0.500, 0.000, 0.368], [0.500, 0.000, 0.618], [0.500, 0.000, 0.868], [0.618, 0.500, 0.000], [0.632, 0.632, 0.632], [0.868, 0.500, 0.000], [0.882, 0.882, 0.882]], "magmom_total_mub_per_cell": 2.22, "formation_energy_ev_per_atom": -0.1600, "space_group": "I-43d", "corrected_energy_ev_per_atom": -4.524}

---

Record 4
{"formula": "La2EuO4", "functional": "PBE-GGA", "state": "optimized geometry", "lattice": [[0.000, 5.153, 5.153], [5.153, 0.000, 5.153], [5.153, 5.153, 0.000]], "species": ["La", "La", "La", "La", "Eu", "Eu", "O", "O", "O", "O", "O", "O", "O", "O"], "fractional_positions": [[0.000, 0.000, 0.000], [0.000, 0.000, 0.500], [0.000, 0.500, 0.000], [0.500, 0.000, 0.000], [0.375, 0.375, 0.375], [0.625, 0.625, 0.625], [0.212, 0.763, 0.763], [0.237, 0.237, 0.237], [0.237, 0.237, 0.788], [0.237, 0.788, 0.237], [0.763, 0.212, 0.763], [0.763, 0.763, 0.212], [0.763, 0.763, 0.763], [0.788, 0.237, 0.237]], "magmom_total_mub_per_cell": 14.00, "formation_energy_ev_per_atom": -3.5939, "space_group": "Fd-3m", "corrected_energy_ev_per_atom": -9.297}

---

Record 5
{"formula": "UMnSe3", "functional": "PBE-GGA", "state": "optimized geometry", "lattice": [[1.953, -5.477, 0.000], [1.953, 5.477, 0.000], [0.000, 0.000, 9.163]], "species": ["U", "U", "Mn", "Mn", "Se", "Se", "Se", "Se", "Se", "Se"], "fractional_positions": [[0.219, 0.781, 0.750], [0.781, 0.219, 0.250], [0.000, 0.000, 0.000], [0.000, 0.000, 0.500], [0.078, 0.922, 0.250], [0.364, 0.636, 0.038], [0.364, 0.636, 0.462], [0.636, 0.364, 0.538], [0.636, 0.364, 0.962], [0.922, 0.078, 0.750]], "magmom_total_mub_per_cell": 10.00, "formation_energy_ev_per_atom": -1.0490, "space_group": "Cmcm", "corrected_energy_ev_per_atom": -7.237}

---

Record 6
{"formula": "Ho8Sb3O8", "functional": "PBE-GGA", "state": "optimized geometry", "lattice": [[6.630, -1.881, 0.000], [6.630, 1.881, 0.000], [-4.411, 0.000, 14.351]], "species": ["Ho", "Ho", "Ho", "Ho", "Ho", "Ho", "Ho", "Ho", "Sb", "Sb", "Sb", "O", "O", "O", "O", "O", "O", "O", "O"], "fractional_positions": [[0.045, 0.046, 0.331], [0.143, 0.143, 0.931], [0.221, 0.220, 0.588], [0.378, 0.378, 0.847], [0.622, 0.622, 0.153], [0.780, 0.779, 0.412], [0.857, 0.857, 0.069], [0.954, 0.955, 0.669], [0.328, 0.330, 0.233], [0.547, 0.453, 0.500], [0.670, 0.672, 0.767], [0.030, 0.030, 0.131], [0.205, 0.202, 0.434], [0.335, 0.335, 0.986], [0.384, 0.382, 0.702], [0.618, 0.616, 0.298], [0.665, 0.665, 0.014], [0.798, 0.795, 0.566], [0.970, 0.970, 0.869]], "formation_energy_ev_per_atom": -3.1418, "space_group": "C2", "corrected_energy_ev_per_atom": -7.807}

---

Record 7
{"formula": "Tm2Fe14B", "functional": "PBE-GGA", "state": "optimized geometry", "lattice": [[8.710, 0.000, 0.000], [0.000, 8.710, 0.000], [0.000, 0.000, 11.818]], "species": ["Tm", "Tm", "Tm", "Tm", "Tm", "Tm", "Tm", "Tm", "Fe", "Fe", "Fe", "Fe", "Fe", "Fe", "Fe", "Fe", "Fe", "Fe", "Fe", "Fe", "Fe", "Fe", "Fe", "Fe", "Fe", "Fe", "Fe", "Fe", "Fe", "Fe", "Fe", "Fe", "Fe", "Fe", "Fe", "Fe", "Fe", "Fe", "Fe", "Fe", "Fe", "Fe", "Fe", "Fe", "Fe", "Fe", "Fe", "Fe", "Fe", "Fe", "Fe", "Fe", "Fe", "Fe", "Fe", "Fe", "Fe", "Fe", "Fe", "Fe", "Fe", "Fe", "Fe", "Fe", "B", "B", "B", "B"], "fractional_positions": [[0.144, 0.144, 0.000], [0.233, 0.233, 0.500], [0.267, 0.733, 0.000], [0.356, 0.644, 0.500], [0.644, 0.356, 0.500], [0.733, 0.267, 0.000], [0.767, 0.767, 0.500], [0.856, 0.856, 0.000], [0.000, 0.000, 0.384], [0.000, 0.000, 0.616], [0.000, 0.500, 0.000], [0.000, 0.500, 0.500], [0.037, 0.642, 0.174], [0.037, 0.642, 0.826], [0.066, 0.724, 0.374], [0.066, 0.724, 0.626], [0.097, 0.903, 0.199], [0.097, 0.903, 0.801], [0.142, 0.463, 0.326], [0.142, 0.463, 0.674], [0.183, 0.183, 0.254], [0.183, 0.183, 0.746], [0.224, 0.434, 0.126], [0.224, 0.434, 0.874], [0.276, 0.934, 0.374], [0.276, 0.934, 0.626], [0.317, 0.683, 0.246], [0.317, 0.683, 0.754], [0.358, 0.963, 0.174], [0.358, 0.963, 0.826], [0.403, 0.403, 0.301], [0.403, 0.403, 0.699], [0.434, 0.224, 0.126], [0.434, 0.224, 0.874], [0.463, 0.142, 0.326], [0.463, 0.142, 0.674], [0.500, 0.000, 0.000], [0.500, 0.000, 0.500], [0.500, 0.500, 0.116], [0.500, 0.500, 0.884], [0.537, 0.858, 0.326], [0.537, 0.858, 0.674], [0.566, 0.776, 0.126], [0.566, 0.776, 0.874], [0.597, 0.597, 0.301], [0.597, 0.597, 0.699], [0.642, 0.037, 0.174], [0.642, 0.037, 0.826], [0.683, 0.317, 0.246], [0.683, 0.317, 0.754], [0.724, 0.066, 0.374], [0.724, 0.066, 0.626], [0.776, 0.566, 0.126], [0.776, 0.566, 0.874], [0.817, 0.817, 0.254], [0.817, 0.817, 0.746], [0.858, 0.537, 0.326], [0.858, 0.537, 0.674], [0.903, 0.097, 0.199], [0.903, 0.097, 0.801], [0.934, 0.276, 0.374], [0.934, 0.276, 0.626], [0.963, 0.358, 0.174], [0.963, 0.358, 0.826], [0.125, 0.875, 0.500], [0.375, 0.375, 0.000], [0.625, 0.625, 0.000], [0.875, 0.125, 0.500]], "magmom_total_mub_per_cell": 123.55, "formation_energy_ev_per_atom": -0.1212, "space_group": "P4_2/mnm"}

---

Record 8
{"formula": "Sm4EuS5", "functional": "PBE-GGA", "state": "optimized geometry", "lattice": [[2.022, 1.167, 16.307], [-2.022, 1.167, 16.307], [0.000, -2.335, 16.307]], "species": ["Sm", "Sm", "Sm", "Sm", "Eu", "S", "S", "S", "S", "S"], "fractional_positions": [[0.098, 0.098, 0.098], [0.299, 0.299, 0.299], [0.701, 0.701, 0.701], [0.902, 0.902, 0.902], [0.500, 0.500, 0.500], [0.000, 0.000, 0.000], [0.201, 0.201, 0.201], [0.400, 0.400, 0.400], [0.600, 0.600, 0.600], [0.799, 0.799, 0.799]], "magmom_total_mub_per_cell": 7.29, "formation_energy_ev_per_atom": -2.2965, "space_group": "R-3m", "corrected_energy_ev_per_atom": -7.278}

---

| no. | final energy (eV per atom) |
| --- | --- |
| 1 | -7.66 |
| 2 | -5.40 |
| 3 | -4.47 |
| 4 | -8.90 |
| 5 | -6.95 |
| 6 | -7.52 |
| 7 | -8.02 |
| 8 | -7.03 |